The following is a DFT calculation (GGA-PBE) of a geometry-optimized CeZrO4 structure.

a b c (Å): 6.447 6.447 6.447
angles (deg): 34.06 34.06 34.06
Fractional coordinates of all 6 atoms:
O (0.121, 0.121, 0.121)
Ce (0.500, 0.500, 0.500)
O (0.370, 0.370, 0.370)
Zr (0.000, 0.000, 0.000)
O (0.879, 0.879, 0.879)
O (0.630, 0.630, 0.630)

Space-group type: R-3m
Energy of formation in eV/atom: -3.809
Energy with MP2020 corrections in eV per atom: -9.521